Version w
Computed, not measured: a geometry-optimized MgCr2O4 structure at the PBE+U level of DFT.

Theoretical density in g/cm3: 4.2
SG: P-4, No. 81
Spin magnetization in μB per formula unit: 6.0

Lattice parameters (Å, degrees): 3.006 5.027 5.027 90.00 90.00 90.00
Atoms (fractional coordinates):
O1 0.499 0.204 0.813
O2 0.499 0.796 0.187
O3 0.001 0.687 0.704
O4 0.001 0.313 0.296
Mg1 0.750 0.500 0.000
Cr1 0.483 0.500 0.500
Cr2 0.017 0.000 0.000

Version x
Computed, not measured: a geometry-optimized MgCr2O4 structure at the PBE+U level of DFT.

Theoretical density in g/cm3: 4.2
SG: P3m1, No. 156
Spin magnetization in μB per formula unit: 6.0

Lattice parameters (Å, degrees): 5.987 5.987 14.774 90.00 90.00 120.00
Atoms (fractional coordinates):
O1 0.849 0.151 0.580
O2 0.000 0.000 0.906
O3 0.333 0.667 0.573
O4 0.488 0.976 0.424
O5 0.667 0.333 0.761
O6 0.649 0.825 0.244
O7 0.359 0.180 0.090
O8 0.820 0.180 0.090
O9 0.152 0.303 0.754
O10 0.849 0.698 0.580
O11 0.000 0.000 0.426
O12 0.820 0.641 0.090
O13 0.697 0.848 0.754
O14 0.508 0.016 0.910
O15 0.024 0.512 0.424
O16 0.175 0.825 0.244
O17 0.984 0.492 0.910
O18 0.152 0.848 0.754
O19 0.175 0.351 0.244
O20 0.333 0.667 0.093
O21 0.667 0.333 0.240
O22 0.488 0.512 0.424
O23 0.508 0.492 0.910
O24 0.302 0.151 0.580
Mg1 0.667 0.333 0.380
Mg2 0.667 0.333 0.622
Mg3 0.667 0.333 0.003
Mg4 0.333 0.667 0.337
Mg5 0.333 0.667 0.707
Mg6 0.000 0.000 0.046
Cr1 0.168 0.335 0.500
Cr2 0.333 0.667 0.955
Cr3 0.834 0.669 0.832
Cr4 0.000 0.000 0.665
Cr5 0.502 0.004 0.166
Cr6 0.665 0.832 0.500
Cr7 0.834 0.166 0.832
Cr8 0.502 0.498 0.166
Cr9 0.996 0.498 0.166
Cr10 0.000 0.000 0.288
Cr11 0.168 0.832 0.500
Cr12 0.331 0.166 0.832

Of them, version w has the lowest stability.

Version w
Computed, not measured: a geometry-optimized CaWO2 structure at the PBE+U level of DFT.

Theoretical density in g/cm3: 5.9
SG: P-1, No. 2
Spin magnetization in μB per formula unit: 3.3

Lattice parameters (Å, degrees): 3.396 9.109 9.705 103.64 90.21 100.61
Atoms (fractional coordinates):
W1 0.013 0.525 0.783
W2 0.682 0.864 0.380
W3 0.987 0.475 0.217
W4 0.318 0.136 0.620
O1 0.189 0.880 0.237
O2 0.191 0.880 0.536
O3 0.811 0.120 0.763
O4 0.590 0.682 0.834
O5 0.809 0.120 0.464
O6 0.437 0.373 0.727
O7 0.410 0.318 0.166
O8 0.563 0.627 0.273
Ca1 0.386 0.266 0.931
Ca2 0.614 0.734 0.069
Ca3 0.323 0.149 0.292
Ca4 0.677 0.851 0.708

Version x
Computed, not measured: a geometry-optimized CaWO2 structure at the PBE+U level of DFT.

Theoretical density in g/cm3: 6.1
SG: C2/m, No. 12
Spin magnetization in μB per formula unit: 0.3

Lattice parameters (Å, degrees): 9.366 9.366 9.955 66.52 66.52 20.36
Atoms (fractional coordinates):
W1 0.189 0.189 0.645
W2 0.655 0.655 0.004
W3 0.811 0.811 0.355
W4 0.345 0.345 0.996
Ca1 0.989 0.989 0.228
Ca2 0.011 0.011 0.772
Ca3 0.658 0.658 0.310
Ca4 0.342 0.342 0.690
O1 0.875 0.875 0.828
O2 0.804 0.804 0.144
O3 0.394 0.394 0.315
O4 0.196 0.196 0.856
O5 0.606 0.606 0.685
O6 0.779 0.779 0.594
O7 0.221 0.221 0.406
O8 0.125 0.125 0.172

Of them, version x has the lowest stability.

Version w
Computed, not measured: a geometry-optimized MgTi2Ni2O6 structure at the PBE+U level of DFT.

Theoretical density in g/cm3: 4.6
SG: P1, No. 1
Spin magnetization in μB per formula unit: 2.0

Lattice parameters (Å, degrees): 5.306 5.769 5.465 121.76 61.15 117.07
Atoms (fractional coordinates):
Ni1 0.123 0.946 0.293
Ni2 0.896 0.549 0.848
O1 0.322 0.717 0.896
O2 0.486 0.273 0.814
O3 0.859 0.264 0.997
O4 0.912 0.718 0.545
O5 0.575 0.788 0.308
O6 0.064 0.291 0.403
Ti1 0.650 0.953 0.713
Ti2 0.235 0.514 0.169
Mg1 0.632 0.204 0.381

Version x
Computed, not measured: a geometry-optimized MgTi2Ni2O6 structure at the PBE+U level of DFT.

Theoretical density in g/cm3: 4.9
SG: P1, No. 1
Spin magnetization in μB per formula unit: 2.0

Lattice parameters (Å, degrees): 5.164 5.693 5.104 115.33 60.26 114.46
Atoms (fractional coordinates):
Ni1 0.366 0.081 0.356
Ni2 0.815 0.482 0.825
Ti1 0.175 0.511 0.164
Ti2 0.657 0.971 0.656
O1 0.787 0.246 0.052
O2 0.565 0.774 0.278
O3 0.388 0.236 0.787
O4 0.051 0.235 0.400
O5 0.934 0.764 0.568
O6 0.293 0.785 0.944
Mg1 0.992 0.973 0.993

Of them, version x has the lowest stability.

Version w
Computed, not measured: a geometry-optimized MgTi2Ni2O6 structure at the PBE+U level of DFT.

Theoretical density in g/cm3: 4.9
SG: R-3, No. 148
Spin magnetization in μB per formula unit: 2.0

Lattice parameters (Å, degrees): 5.821 5.822 5.820 52.07 52.07 52.08
Atoms (fractional coordinates):
O1 0.557 0.917 0.258
O2 0.917 0.258 0.558
O3 0.443 0.083 0.742
O4 0.083 0.742 0.442
O5 0.258 0.558 0.917
O6 0.742 0.442 0.083
Ni1 0.331 0.331 0.331
Ni2 0.669 0.669 0.669
Mg1 0.500 0.500 0.500
Ti1 0.149 0.149 0.149
Ti2 0.851 0.851 0.851

Version x
Computed, not measured: a geometry-optimized MgTi2Ni2O6 structure at the PBE+U level of DFT.

Theoretical density in g/cm3: 4.8
SG: P1, No. 1
Spin magnetization in μB per formula unit: 2.0

Lattice parameters (Å, degrees): 5.430 5.794 5.317 125.23 70.17 121.80
Atoms (fractional coordinates):
O1 0.895 0.250 0.896
O2 0.158 0.470 0.424
O3 0.652 0.566 0.645
O4 0.717 0.824 0.251
O5 0.326 0.844 0.073
O6 0.361 0.105 0.769
Ti1 0.329 0.482 0.038
Ti2 0.534 0.821 0.644
Ni1 0.108 0.029 0.486
Ni2 0.950 0.625 0.863
Mg1 0.724 0.201 0.278

Of them, version x has the lowest stability.

Version w
Computed, not measured: a geometry-optimized LiV3OF11 structure at the PBE+U level of DFT.

Theoretical density in g/cm3: 2.8
SG: P1, No. 1
Spin magnetization in μB per formula unit: 0.0

Lattice parameters (Å, degrees): 6.299 7.733 10.654 71.54 103.65 110.10
Atoms (fractional coordinates):
F1 0.684 0.273 0.199
F2 0.944 0.042 0.811
F3 0.423 0.303 0.721
F4 0.199 0.312 0.926
F5 0.686 0.772 0.699
F6 0.944 0.542 0.311
F7 0.201 0.084 0.167
F8 0.692 0.494 0.955
F9 0.315 0.707 0.910
F10 0.793 0.526 0.527
F11 0.315 0.207 0.409
F12 0.116 0.975 0.628
F13 0.793 0.026 0.027
F14 0.692 0.994 0.455
F15 0.587 0.122 0.629
F16 0.351 0.513 0.476
F17 0.422 0.803 0.221
F18 0.114 0.474 0.128
F19 0.199 0.812 0.426
F20 0.587 0.623 0.129
F21 0.350 0.013 0.976
F22 0.201 0.584 0.667
V1 0.070 0.561 0.497
V2 0.299 0.238 0.567
V3 0.070 0.062 0.997
V4 0.813 0.520 0.126
V5 0.814 0.020 0.625
V6 0.298 0.737 0.067
Li1 0.427 0.028 0.319
Li2 0.427 0.528 0.819
O1 0.014 0.270 0.557
O2 0.013 0.770 0.057

Version x
Computed, not measured: a geometry-optimized LiV3OF11 structure at the PBE+U level of DFT.

Theoretical density in g/cm3: 2.8
SG: P1, No. 1
Spin magnetization in μB per formula unit: 1.0

Lattice parameters (Å, degrees): 5.511 6.002 7.022 93.06 103.24 93.26
Atoms (fractional coordinates):
F1 0.520 0.408 0.245
F2 0.981 0.715 0.044
F3 0.080 0.290 0.972
F4 0.208 0.688 0.455
F5 0.351 0.140 0.517
F6 0.651 0.859 0.478
F7 0.826 0.300 0.558
F8 0.360 0.988 0.156
F9 0.861 0.088 0.223
F10 0.109 0.926 0.762
F11 0.425 0.604 0.817
V1 0.973 0.005 0.987
V2 0.605 0.149 0.369
V3 0.399 0.850 0.661
Li1 0.298 0.560 0.054
O1 0.655 0.996 0.842

Of them, version x has the lowest stability.

Version w
Computed, not measured: a geometry-optimized LiV3OF11 structure at the PBE+U level of DFT.

Theoretical density in g/cm3: 2.8
SG: P1, No. 1
Spin magnetization in μB per formula unit: 3.0

Lattice parameters (Å, degrees): 7.022 6.002 5.511 93.26 103.24 93.06
Atoms (fractional coordinates):
F1 0.920 0.028 0.710
F2 0.792 0.545 0.312
F3 0.575 0.183 0.396
F4 0.019 0.956 0.285
F5 0.649 0.483 0.860
F6 0.139 0.777 0.912
F7 0.480 0.755 0.592
F8 0.174 0.442 0.700
F9 0.640 0.844 0.012
F10 0.349 0.522 0.141
F11 0.891 0.238 0.074
V1 0.395 0.631 0.851
V2 0.601 0.339 0.150
V3 0.027 0.013 0.995
Li1 0.702 0.946 0.440
O1 0.345 0.158 0.004

Version x
Computed, not measured: a geometry-optimized LiV3OF11 structure at the PBE+U level of DFT.

Theoretical density in g/cm3: 2.9
SG: P2_1, No. 4
Spin magnetization in μB per formula unit: 3.0

Lattice parameters (Å, degrees): 5.254 5.403 15.617 80.18 90.00 90.00
Atoms (fractional coordinates):
F1 0.202 0.126 0.147
F2 0.086 0.676 0.611
F3 0.306 0.960 0.477
F4 0.285 0.313 0.805
F5 0.712 0.197 0.183
F6 0.806 0.040 0.523
F7 0.417 0.180 0.611
F8 0.695 0.541 0.523
F9 0.195 0.459 0.477
F10 0.573 0.980 0.055
F11 0.432 0.512 0.951
F12 0.073 0.020 0.945
F13 0.075 0.327 0.288
F14 0.575 0.673 0.712
F15 0.212 0.803 0.817
F16 0.702 0.874 0.853
F17 0.932 0.488 0.049
F18 0.925 0.138 0.715
F19 0.785 0.687 0.195
F20 0.425 0.862 0.285
F21 0.917 0.820 0.389
F22 0.586 0.324 0.389
Li1 0.220 0.709 0.008
Li2 0.720 0.291 0.992
V1 0.992 0.098 0.826
V2 0.001 0.750 0.500
V3 0.492 0.902 0.174
V4 0.026 0.425 0.175
V5 0.526 0.575 0.825
V6 0.501 0.250 0.500
O1 0.778 0.361 0.855
O2 0.278 0.639 0.145

Of them, version w has the lowest stability.

Version w
Computed, not measured: a geometry-optimized Rb8Fe2O7 structure at the PBE+U level of DFT.

Theoretical density in g/cm3: 4.0
SG: P2_1/c, No. 14
Spin magnetization in μB per formula unit: 10.0

Lattice parameters (Å, degrees): 12.865 10.195 11.978 72.36 90.00 90.00
Atoms (fractional coordinates):
O1 0.830 0.425 0.115
O2 0.872 0.314 0.787
O3 0.874 0.325 0.522
O4 0.186 0.220 0.694
O5 0.170 0.575 0.885
O6 0.877 0.900 0.639
O7 0.119 0.114 0.091
O8 0.381 0.114 0.591
O9 0.374 0.675 0.978
O10 0.123 0.100 0.361
O11 0.276 0.896 0.283
O12 0.128 0.686 0.213
O13 0.724 0.104 0.717
O14 0.126 0.675 0.478
O15 0.814 0.780 0.306
O16 0.314 0.220 0.194
O17 0.628 0.314 0.287
O18 0.224 0.896 0.783
O19 0.686 0.780 0.806
O20 0.330 0.575 0.385
O21 0.881 0.886 0.909
O22 0.372 0.686 0.713
O23 0.377 0.100 0.861
O24 0.776 0.104 0.217
O25 0.623 0.900 0.139
O26 0.619 0.886 0.409
O27 0.670 0.425 0.615
O28 0.626 0.325 0.022
Rb1 0.521 0.884 0.923
Rb2 0.508 0.334 0.486
Rb3 0.040 0.076 0.857
Rb4 0.460 0.076 0.357
Rb5 0.008 0.666 0.014
Rb6 0.979 0.884 0.423
Rb7 0.526 0.572 0.856
Rb8 0.557 0.248 0.785
Rb9 0.241 0.896 0.032
Rb10 0.728 0.503 0.372
Rb11 0.540 0.924 0.643
Rb12 0.757 0.710 0.569
Rb13 0.474 0.428 0.144
Rb14 0.257 0.290 0.931
Rb15 0.443 0.752 0.215
Rb16 0.272 0.497 0.628
Rb17 0.259 0.896 0.532
Rb18 0.743 0.710 0.069
Rb19 0.228 0.497 0.128
Rb20 0.772 0.503 0.872
Rb21 0.026 0.428 0.644
Rb22 0.943 0.248 0.285
Rb23 0.759 0.104 0.968
Rb24 0.021 0.116 0.577
Rb25 0.243 0.290 0.431
Rb26 0.492 0.666 0.514
Rb27 0.479 0.116 0.077
Rb28 0.057 0.752 0.715
Rb29 0.960 0.924 0.143
Rb30 0.741 0.104 0.468
Rb31 0.974 0.572 0.356
Rb32 0.992 0.334 0.986
Fe1 0.787 0.295 0.659
Fe2 0.204 0.086 0.231
Fe3 0.287 0.705 0.841
Fe4 0.704 0.914 0.269
Fe5 0.296 0.086 0.731
Fe6 0.713 0.295 0.159
Fe7 0.796 0.914 0.769
Fe8 0.213 0.705 0.341

Version x
Computed, not measured: a geometry-optimized Rb8Fe2O7 structure at the PBE+U level of DFT.

Theoretical density in g/cm3: 3.9
SG: P2_1/c, No. 14

Lattice parameters (Å, degrees): 17.744 7.035 7.074 61.01 90.00 90.00
Atoms (fractional coordinates):
Rb1 0.506 0.543 0.228
Rb2 0.919 0.504 0.639
Rb3 0.081 0.496 0.361
Rb4 0.211 0.948 0.767
Rb5 0.419 0.996 0.361
Rb6 0.789 0.052 0.233
Rb7 0.310 0.547 0.218
Rb8 0.190 0.047 0.218
Rb9 0.289 0.448 0.767
Rb10 0.711 0.552 0.233
Rb11 0.994 0.043 0.228
Rb12 0.581 0.004 0.639
Rb13 0.006 0.957 0.772
Rb14 0.690 0.453 0.782
Rb15 0.494 0.457 0.772
Rb16 0.810 0.953 0.782
O1 0.823 0.498 0.957
O2 0.323 0.002 0.043
O3 0.104 0.240 0.835
O4 0.396 0.740 0.835
O5 0.399 0.258 0.581
O6 0.899 0.242 0.419
O7 0.604 0.260 0.165
O8 0.177 0.502 0.043
O9 0.677 0.998 0.957
O10 0.000 0.500 0.000
O11 0.896 0.760 0.165
O12 0.101 0.758 0.581
O13 0.500 0.000 0.000
O14 0.601 0.742 0.419
Fe1 0.403 0.000 0.858
Fe2 0.903 0.500 0.142
Fe3 0.597 0.000 0.142
Fe4 0.097 0.500 0.858

Of them, version w has the lowest stability.